No. 1
MnNiP2O8 | the Materials Project database | GGA+U | relaxed; ΔH_f (0 K) = -2.201 eV/atom; excess energy over the best structure of this formula in the dataset = 7.9 meV per atom; uncorrected energy = -6.838 eV per atom
1.0
3.912 0.501 2.679
-5.169 4.915 6.818
-1.196 -4.965 2.674
Mn Ni P O
2 2 4 16
direct
0.038 0.723 0.750
0.962 0.277 0.250
0.544 0.767 0.250
0.457 0.233 0.750
0.401 0.097 0.250
0.599 0.903 0.750
0.914 0.413 0.750
0.086 0.587 0.250
0.650 0.053 0.750
0.350 0.947 0.250
0.717 0.125 0.250
0.282 0.875 0.750
0.228 0.401 0.750
0.772 0.599 0.250
0.183 0.436 0.250
0.817 0.564 0.750
0.239 0.174 0.047
0.239 0.174 0.453
0.761 0.826 0.547
0.761 0.826 0.953
0.767 0.337 0.960
0.767 0.337 0.540
0.233 0.663 0.040
0.233 0.663 0.460

***

No. 2
Mn2NiP3O12 | the Materials Project database | GGA+U | relaxed; ΔH_f (0 K) = -2.271 eV/atom; uncorrected energy = -7.026 eV per atom
1.0
7.275 -4.277 0.000
7.275 4.277 0.000
4.761 0.000 6.968
Mn Ni P O
4 2 6 24
direct
0.142 0.142 0.142
0.358 0.358 0.358
0.642 0.642 0.642
0.858 0.858 0.858
0.000 0.000 0.000
0.500 0.500 0.500
0.750 0.043 0.457
0.043 0.457 0.750
0.457 0.750 0.043
0.543 0.250 0.957
0.957 0.543 0.250
0.250 0.957 0.543
0.314 0.115 0.509
0.509 0.314 0.115
0.911 0.057 0.257
0.115 0.509 0.314
0.814 0.009 0.615
0.589 0.243 0.443
0.057 0.257 0.911
0.243 0.443 0.589
0.385 0.186 0.991
0.443 0.589 0.243
0.743 0.089 0.943
0.991 0.385 0.186
0.009 0.615 0.814
0.257 0.911 0.057
0.557 0.411 0.757
0.615 0.814 0.009
0.757 0.557 0.411
0.943 0.743 0.089
0.411 0.757 0.557
0.186 0.991 0.385
0.885 0.491 0.686
0.089 0.943 0.743
0.491 0.686 0.885
0.686 0.885 0.491

***

No. 3
MnNiP2O8 | the Materials Project database | GGA+U | relaxed; ΔH_f (0 K) = -2.155 eV/atom; excess energy over the best structure of this formula in the dataset = 54.1 meV per atom; uncorrected energy = -6.792 eV per atom
1.0
-7.567 1.718 -3.614
-6.738 -4.965 1.795
-6.349 3.116 4.822
Mn Ni P O
3 3 6 24
direct
0.002 0.002 0.002
0.857 0.857 0.857
0.500 0.500 0.500
0.357 0.357 0.357
0.143 0.143 0.143
0.642 0.642 0.642
0.461 0.750 0.043
0.750 0.043 0.461
0.043 0.461 0.750
0.955 0.541 0.249
0.249 0.955 0.541
0.541 0.249 0.955
0.685 0.891 0.490
0.891 0.490 0.685
0.490 0.685 0.891
0.264 0.913 0.054
0.622 0.812 0.003
0.447 0.592 0.242
0.913 0.054 0.264
0.592 0.242 0.447
0.985 0.386 0.189
0.242 0.447 0.592
0.940 0.743 0.084
0.189 0.985 0.386
0.812 0.003 0.622
0.054 0.264 0.913
0.754 0.561 0.408
0.003 0.622 0.812
0.408 0.754 0.561
0.084 0.940 0.743
0.561 0.408 0.754
0.386 0.189 0.985
0.743 0.084 0.940
0.515 0.310 0.109
0.109 0.515 0.310
0.310 0.109 0.515

***

No. 4
MnNiP2O8 | the Materials Project database | GGA+U | relaxed; ΔH_f (0 K) = -2.209 eV/atom; excess energy over the best structure of this formula in the dataset = 0.0 meV per atom; uncorrected energy = -6.846 eV per atom
1.0
-6.361 5.418 -1.014
-7.665 -2.098 2.774
-3.152 3.941 6.736
Mn Ni P O
3 3 6 24
direct
0.642 0.642 0.642
0.859 0.859 0.859
0.358 0.358 0.358
0.003 0.003 0.003
0.141 0.141 0.141
0.501 0.501 0.501
0.959 0.248 0.542
0.542 0.959 0.248
0.248 0.542 0.959
0.749 0.458 0.039
0.458 0.039 0.749
0.039 0.749 0.458
0.510 0.121 0.308
0.308 0.510 0.121
0.121 0.308 0.510
0.943 0.086 0.746
0.984 0.188 0.389
0.757 0.415 0.562
0.746 0.943 0.086
0.562 0.757 0.415
0.809 0.621 0.008
0.415 0.562 0.757
0.904 0.260 0.057
0.621 0.008 0.809
0.389 0.984 0.188
0.086 0.746 0.943
0.580 0.452 0.240
0.188 0.389 0.984
0.452 0.240 0.580
0.260 0.057 0.904
0.240 0.580 0.452
0.008 0.809 0.621
0.057 0.904 0.260
0.880 0.682 0.499
0.682 0.499 0.880
0.499 0.880 0.682

***

No. 5
Mn3Ni2SbP6O24 | the Materials Project database | GGA+U | relaxed; ΔH_f (0 K) = -2.285 eV/atom; uncorrected energy = -6.947 eV per atom
1.0
-8.517 -0.538 -0.322
-3.803 -0.912 -7.592
-3.600 -7.495 -1.949
Mn Ni Sb P O
3 2 1 6 24
direct
0.855 0.855 0.855
0.644 0.644 0.644
0.357 0.357 0.357
0.995 0.995 0.995
0.501 0.501 0.501
0.143 0.143 0.143
0.952 0.252 0.549
0.549 0.952 0.252
0.252 0.549 0.952
0.746 0.457 0.049
0.457 0.049 0.746
0.049 0.746 0.457
0.895 0.686 0.485
0.686 0.485 0.895
0.941 0.089 0.742
0.485 0.895 0.686
0.993 0.182 0.389
0.756 0.406 0.557
0.742 0.941 0.089
0.557 0.756 0.406
0.815 0.609 0.013
0.406 0.557 0.756
0.913 0.253 0.063
0.609 0.013 0.815
0.389 0.993 0.182
0.089 0.742 0.941
0.594 0.435 0.249
0.182 0.389 0.993
0.435 0.249 0.594
0.253 0.063 0.913
0.249 0.594 0.435
0.013 0.815 0.609
0.507 0.110 0.315
0.063 0.913 0.253
0.315 0.507 0.110
0.110 0.315 0.507

***

No. 6
Mn2Ni3SbP6O24 | the Materials Project database | GGA+U | relaxed; ΔH_f (0 K) = -2.193 eV/atom; uncorrected energy = -6.737 eV per atom
1.0
7.466 -4.351 0.000
7.466 4.351 0.000
4.929 0.000 7.097
Mn Ni Sb P O
2 3 1 6 24
direct
0.006 0.006 0.006
0.499 0.499 0.499
0.144 0.144 0.144
0.357 0.357 0.357
0.642 0.642 0.642
0.857 0.857 0.857
0.746 0.046 0.455
0.046 0.455 0.746
0.455 0.746 0.046
0.540 0.254 0.953
0.953 0.540 0.254
0.254 0.953 0.540
0.310 0.107 0.513
0.513 0.310 0.107
0.908 0.061 0.264
0.107 0.513 0.310
0.813 0.009 0.614
0.590 0.241 0.445
0.061 0.264 0.908
0.241 0.445 0.590
0.392 0.185 0.988
0.445 0.590 0.241
0.744 0.087 0.935
0.988 0.392 0.185
0.009 0.614 0.813
0.264 0.908 0.061
0.559 0.410 0.755
0.614 0.813 0.009
0.755 0.559 0.410
0.935 0.744 0.087
0.410 0.755 0.559
0.185 0.988 0.392
0.892 0.498 0.679
0.087 0.935 0.744
0.498 0.679 0.892
0.679 0.892 0.498

***

Repeat the third record exactly.
MnNiP2O8 | the Materials Project database | GGA+U | relaxed; ΔH_f (0 K) = -2.155 eV/atom; excess energy over the best structure of this formula in the dataset = 54.1 meV per atom; uncorrected energy = -6.792 eV per atom
1.0
-7.567 1.718 -3.614
-6.738 -4.965 1.795
-6.349 3.116 4.822
Mn Ni P O
3 3 6 24
direct
0.002 0.002 0.002
0.857 0.857 0.857
0.500 0.500 0.500
0.357 0.357 0.357
0.143 0.143 0.143
0.642 0.642 0.642
0.461 0.750 0.043
0.750 0.043 0.461
0.043 0.461 0.750
0.955 0.541 0.249
0.249 0.955 0.541
0.541 0.249 0.955
0.685 0.891 0.490
0.891 0.490 0.685
0.490 0.685 0.891
0.264 0.913 0.054
0.622 0.812 0.003
0.447 0.592 0.242
0.913 0.054 0.264
0.592 0.242 0.447
0.985 0.386 0.189
0.242 0.447 0.592
0.940 0.743 0.084
0.189 0.985 0.386
0.812 0.003 0.622
0.054 0.264 0.913
0.754 0.561 0.408
0.003 0.622 0.812
0.408 0.754 0.561
0.084 0.940 0.743
0.561 0.408 0.754
0.386 0.189 0.985
0.743 0.084 0.940
0.515 0.310 0.109
0.109 0.515 0.310
0.310 0.109 0.515

***

Question: What is the uncorrected energy in the fourth record?
Answer: -6.846 eV per atom